Below is a relaxed structure of V3H6CNO7, with properties calculated at the PBE with a Hubbard U level.

Geometry as CIF:
```
data_V3H6CNO7
_chemical_formula_sum 'V12 H24 C4 N4 O28'
_space_group_name_H-M_alt 'P 1 21/c 1'
_space_group_IT_number 14
_cell_length_a 10.453
_cell_length_b 6.735
_cell_length_c 15.462
_cell_angle_alpha 90.00
_cell_angle_beta 128.75
_cell_angle_gamma 90.00
loop_
_space_group_symop_operation_xyz
'x,y,z'
'-x,-y,-z'
'-x,y+1/2,-z+1/2'
'x,-y+1/2,z+1/2'
loop_
_atom_site_label
_atom_site_fract_x
_atom_site_fract_y
_atom_site_fract_z
V1 0.085 0.033 0.304
V2 0.088 0.242 0.600
V3 0.161 0.745 0.687
H1 0.317 0.618 0.533
H2 0.385 0.522 0.079
H3 0.418 0.081 0.329
H4 0.440 0.718 0.499
H5 0.450 0.663 0.190
H6 0.467 0.072 0.877
C1 0.437 0.680 0.567
N1 0.465 0.635 0.131
O1 0.059 0.018 0.652
O2 0.067 0.744 0.764
O3 0.086 0.720 0.536
O4 0.123 0.049 0.190
O5 0.250 0.212 0.608
O6 0.270 0.084 0.420
O7 0.363 0.729 0.270
```

Calculated values
calculated volume: 11.8 Å³ per atom
E: -0.2381 Ha/atom
formation energy from the elements: -1.49 eV/atom

---

Below is a relaxed structure of VH12C6NO4, with properties calculated at the PBE with a Hubbard U level.

Geometry as CIF:
```
data_VH12C6NO4
_chemical_formula_sum 'V2 H24 C12 N2 O8'
_space_group_name_H-M_alt 'P 1 21 1'
_space_group_IT_number 4
_cell_length_a 7.557
_cell_length_b 7.888
_cell_length_c 8.495
_cell_angle_alpha 90.00
_cell_angle_beta 91.98
_cell_angle_gamma 90.00
loop_
_space_group_symop_operation_xyz
'x,y,z'
'-x,y+1/2,-z'
loop_
_atom_site_label
_atom_site_fract_x
_atom_site_fract_y
_atom_site_fract_z
V1 0.202 0.000 0.253
H1 0.010 0.644 0.073
H2 0.038 0.033 0.751
H3 0.095 0.658 0.488
H4 0.160 0.286 0.632
H5 0.238 0.294 0.832
H6 0.239 0.754 0.933
H7 0.275 0.525 0.442
H8 0.301 0.513 0.110
H9 0.340 0.782 0.631
H10 0.452 0.636 0.227
H11 0.473 0.755 0.968
H12 0.486 0.760 0.473
C1 0.007 0.656 0.202
C2 0.118 0.299 0.754
C3 0.221 0.654 0.428
C4 0.328 0.641 0.157
C5 0.345 0.771 0.025
C6 0.347 0.786 0.502
N1 0.188 0.698 0.261
O1 0.036 0.460 0.773
O2 0.211 0.208 0.249
O3 0.300 0.952 0.449
O4 0.335 0.939 0.086
```

Calculated values
calculated volume: 10.5 Å³ per atom
E: -0.2177 Ha/atom
formation energy from the elements: -0.56 eV/atom